(1)
Density functional theory data (r2SCAN) for an optimized crystal structure of Dy5Pb3.

For the total magnetization, the calculation gives 0.000 μB/f.u. The total energy is -1.53649 Ha/atom.

The space group is P6_3/mcm (No. 193) and the conventional cell measures 8.9988, 8.9988 and 6.6284 Å, with angles of 90.00, 90.00 and 120.00 degrees. The inequivalent atoms are Dy at (0.0000, 0.2377, 0.2500), Dy at (0.3333, 0.6667, 0.0000) and Pb at (0.0000, 0.3938, 0.7500).

(2)
Density functional theory data (r2SCAN) for an optimized crystal structure of Dy3Pd2.

For the total magnetization, the calculation gives 0.000 μB/f.u. The total energy is -1.07069 Ha/atom.

The space group is P4/mbm (No. 127) and the conventional cell measures 7.722, 7.722 and 3.967 Å, with angles of 90.00, 90.00 and 90.00 degrees. The inequivalent atoms are Dy at (0.000, 0.000, 0.000), Dy at (0.165, 0.335, 0.500) and Pd at (0.133, 0.633, 0.000).

(3)
Density functional theory data (r2SCAN) for an optimized crystal structure of Dy3Pd4.

For the total magnetization, the calculation gives 0.000 μB/f.u. The total energy is -1.02161 Ha/atom.

The space group is R-3 (No. 148, hexagonal axes) and the conventional cell measures 13.1558, 13.1558 and 5.7099 Å, with angles of 90.00, 90.00 and 120.00 degrees. The inequivalent atoms are Dy at (0.0410, 0.8309, 0.2362), Pd at (0.0000, 0.0000, 0.0000), Pd at (0.0000, 0.0000, 0.5000) and Pd at (0.0528, 0.7821, 0.7203).

(4)
Density functional theory data (r2SCAN) for an optimized crystal structure of Dy2PdRh.

For the total magnetization, the calculation gives 0.000 μB/f.u. The total energy is -1.05468 Ha/atom.

The space group is Fm-3m (No. 225) and the conventional cell measures 6.884, 6.884 and 6.884 Å, with angles of 90.00, 90.00 and 90.00 degrees. The inequivalent atoms are Dy at (0.250, 0.250, 0.250), Pd at (0.000, 0.000, 0.000) and Rh at (0.000, 0.000, 0.500).

(5)
Density functional theory data (r2SCAN) for an optimized crystal structure of Dy2PdRu.

For the total magnetization, the calculation gives 0.000 μB/f.u. The total energy is -1.05736 Ha/atom.

The space group is Fm-3m (No. 225) and the conventional cell measures 6.854, 6.854 and 6.854 Å, with angles of 90.00, 90.00 and 90.00 degrees. The inequivalent atoms are Dy at (0.250, 0.250, 0.250), Pd at (0.000, 0.000, 0.000) and Ru at (0.000, 0.000, 0.500).

(6)
Density functional theory data (r2SCAN) for an optimized crystal structure of Dy3Si6Pd20.

For the total magnetization, the calculation gives 0.000 μB/f.u. The total energy is -0.80112 Ha/atom.

The space group is Fm-3m (No. 225) and the conventional cell measures 12.220, 12.220 and 12.220 Å, with angles of 90.00, 90.00 and 90.00 degrees. The inequivalent atoms are Dy at (0.000, 0.000, 0.000), Dy at (0.250, 0.250, 0.250), Si at (0.000, 0.000, 0.267), Pd at (0.000, 0.173, 0.173) and Pd at (0.116, 0.116, 0.384).